A plane-wave DFT calculation with meta-GGA r2SCAN was carried out for a relaxed structure of LuZnPd.

Values from the calculation:
E_form, eV per atom: -0.7867

extended XYZ file:
```
9
Lattice="5.1372 2.6531 4.1317 -6.1745 3.4565 -0.6535 -1.3940 -1.9284 2.9716" Properties=species:S:1:pos:R:3 pbc="T T T"
Zn -5.3067 1.6163 0.9979
Pd 0.0000 0.0000 0.0000
Pd 0.6697 1.9566 4.0224
Zn -0.9599 0.5841 2.3672
Lu -0.6194 3.6468 2.0760
Lu 2.0706 1.0697 1.6655
Lu -2.4887 1.3932 -0.2634
Zn -3.0361 4.4730 3.9169
Pd -3.1009 2.2245 2.4274
```